A relaxed KCaCrH10C6O17 crystal, computed with GGA+U.

Summary:
* total DFT energy (no corrections): -0.2357 hartree per atom
* MP2020-corrected energy: -978.31 eV/cell
* formation enthalpy at 0 K: -58.39 eV per formula unit
* spin magnetization: 3.96 μB per cell

Unit cell a=11.1819 b=11.3190 c=16.2014 alpha=90.00 beta=123.44 gamma=90.00
Last column: nearest neighbours and their distance in Å.
Space group P2_1/c (No. 14)
Asymmetric unit:
K 0.2338 0.2202 0.0691  6 O 2.74-3.00
Ca 0.3959 0.5941 0.8518  7 O 2.41-2.62
Cr 0.2280 0.0929 0.8230  6 O 1.99-2.03
H 0.0187 0.5959 0.1046  1 O 0.99
H 0.0614 0.5620 0.5085  1 O 0.97
H 0.0756 0.5610 0.0414  1 O 0.98
H 0.1714 0.5341 0.4800  1 O 0.99
H 0.1858 0.7063 0.0684  1 O 0.98
H 0.2730 0.7149 0.0174  1 O 0.99
H 0.2887 0.0353 0.5024  1 O 0.99
H 0.3335 0.5275 0.0994  1 O 0.99
H 0.3692 0.6692 0.6623  1 O 0.98
H 0.4883 0.5691 0.7021  1 O 0.98
C 0.0479 0.6330 0.7199  2 O 1.24-1.30
C 0.0668 0.5479 0.8017  2 O 1.25-1.29
C 0.3009 0.6380 0.3937  2 O 1.24-1.30
C 0.3024 0.1852 0.2910  2 O 1.24-1.30
C 0.3822 0.6127 0.3428  2 O 1.24-1.30
C 0.3875 0.2014 0.4045  2 O 1.25-1.29
O 0.0178 0.6219 0.0461  2 H 0.98-0.99
O 0.0506 0.0168 0.7064  1 C 1.29
O 0.0826 0.1680 0.8417  1 C 1.30
O 0.1392 0.5089 0.5230  2 H 0.97-0.99
O 0.1533 0.6614 0.7179  1 C 1.24
O 0.1895 0.5151 0.8682  1 C 1.25
O 0.2261 0.2241 0.7404  1 C 1.30
O 0.2454 0.5453 0.4071  1 C 1.30
O 0.2808 0.6941 0.0797  2 H 0.98-0.99
O 0.2956 0.7400 0.4194  1 C 1.24
O 0.3101 0.0919 0.2543  1 C 1.24
O 0.3410 0.0499 0.5743  2 H 0.99
O 0.3668 0.5057 0.3094  1 C 1.30
O 0.3764 0.1950 0.9331  1 C 1.29
O 0.4296 0.6154 0.7181  2 H 0.98
O 0.4568 0.6910 0.3395  1 C 1.24
O 0.4580 0.1169 0.4593  1 C 1.25